This record from the Materials Project database describes a relaxed structure of Li7Mn2Co3O12. The functional is PBE+U.

CIF file:
```
data_Li7Mn2Co3O12
_chemical_formula_sum 'Li7 Mn2 Co3 O12'
_cell_length_a 5.892
_cell_length_b 5.894
_cell_length_c 7.684
_cell_angle_alpha 100.98
_cell_angle_beta 100.20
_cell_angle_gamma 119.77
_symmetry_space_group_name_H-M 'P -1'
_symmetry_Int_Tables_number 2
loop_
_symmetry_equiv_pos_as_xyz
'x,y,z'
'-x,-y,-z'
loop_
_atom_site_label
_atom_site_fract_x
_atom_site_fract_y
_atom_site_fract_z
Li1 0.000 0.000 0.000
Li2 0.000 0.500 0.000
Li3 0.005 0.169 0.669
Li4 0.013 0.679 0.676
Li5 0.500 0.000 0.000
Mn1 0.496 0.833 0.329
Co1 0.496 0.325 0.324
Co2 0.500 0.500 0.000
O1 0.264 0.439 0.177
O2 0.268 0.915 0.181
O3 0.272 0.102 0.825
O4 0.275 0.581 0.828
O5 0.278 0.778 0.506
O6 0.286 0.258 0.507
```

Results
E (MP2020) = -6.571 eV/atom
Energy of formation = -1.8885 eV per atom
VASP energy = -141.22 eV per formula unit
Total magnetic moment = 6.0 μB/f.u.

This record from the Materials Project database describes a relaxed structure of Li7Mn4CoO12. The functional is PBE+U.

CIF file:
```
data_Li7Mn4CoO12
_chemical_formula_sum 'Li14 Mn8 Co2 O24'
_cell_length_a 9.831
_cell_length_b 2.883
_cell_length_c 15.695
_cell_angle_alpha 90.00
_cell_angle_beta 98.86
_cell_angle_gamma 90.00
_symmetry_space_group_name_H-M 'C 1 m 1'
_symmetry_Int_Tables_number 8
loop_
_symmetry_equiv_pos_as_xyz
'x,y,z'
'x,-y,z'
'x+1/2,y+1/2,z'
'x+1/2,-y+1/2,z'
loop_
_atom_site_label
_atom_site_fract_x
_atom_site_fract_y
_atom_site_fract_z
Li1 0.000 0.000 0.000
Li2 0.001 0.000 0.334
Li3 0.005 0.500 0.163
Li4 0.246 0.500 0.408
Li5 0.488 0.500 0.652
Li6 0.494 0.000 0.484
Li7 0.497 0.000 0.827
Mn1 0.234 0.000 0.564
Mn2 0.239 0.500 0.739
Mn3 0.252 0.000 0.915
Mn4 0.254 0.000 0.251
Co1 0.255 0.500 0.083
O1 0.126 0.000 0.777
O2 0.126 0.500 0.607
O3 0.127 0.000 0.459
O4 0.139 0.500 0.953
O5 0.140 0.500 0.281
O6 0.141 0.000 0.126
O7 0.348 0.000 0.696
O8 0.351 0.500 0.538
O9 0.361 0.500 0.207
O10 0.363 0.500 0.873
O11 0.366 0.000 0.356
O12 0.374 0.000 0.044
```

Results
E (MP2020) = -6.897 eV/atom
Energy of formation = -2.0429 eV per atom
VASP energy = -148.97 eV per formula unit
Total magnetic moment = 14.0 μB/f.u.

This record from the Materials Project database describes a relaxed structure of Li5MnCo2O8. The functional is PBE+U.

CIF file:
```
data_Li5MnCo2O8
_chemical_formula_sum 'Li10 Mn2 Co4 O16'
_cell_length_a 19.268
_cell_length_b 2.901
_cell_length_c 4.962
_cell_angle_alpha 90.00
_cell_angle_beta 93.34
_cell_angle_gamma 90.00
_symmetry_space_group_name_H-M 'C 1 m 1'
_symmetry_Int_Tables_number 8
loop_
_symmetry_equiv_pos_as_xyz
'x,y,z'
'x,-y,z'
'x+1/2,y+1/2,z'
'x+1/2,-y+1/2,z'
loop_
_atom_site_label
_atom_site_fract_x
_atom_site_fract_y
_atom_site_fract_z
Li1 0.000 0.000 0.000
Li2 0.003 0.500 0.490
Li3 0.272 0.000 0.748
Li4 0.276 0.500 0.234
Li5 0.388 0.000 0.119
Mn1 0.138 0.000 0.367
Co1 0.138 0.500 0.868
Co2 0.388 0.500 0.619
O1 0.082 0.500 0.180
O2 0.086 0.000 0.691
O3 0.191 0.000 0.048
O4 0.193 0.500 0.551
O5 0.330 0.500 0.903
O6 0.333 0.000 0.450
O7 0.442 0.000 0.788
O8 0.446 0.500 0.336
```

Results
E (MP2020) = -6.366 eV/atom
Energy of formation = -1.8340 eV per atom
VASP energy = -91.41 eV per formula unit
Total magnetic moment = 4.7 μB/f.u.

This record from the Materials Project database describes a relaxed structure of Li7Mn4CoO12. The functional is PBE+U.

CIF file:
```
data_Li7Mn4CoO12
_chemical_formula_sum 'Li14 Mn8 Co2 O24'
_cell_length_a 29.525
_cell_length_b 2.865
_cell_length_c 5.306
_cell_angle_alpha 90.00
_cell_angle_beta 98.48
_cell_angle_gamma 90.00
_symmetry_space_group_name_H-M 'C 1 m 1'
_symmetry_Int_Tables_number 8
loop_
_symmetry_equiv_pos_as_xyz
'x,y,z'
'x,-y,z'
'x+1/2,y+1/2,z'
'x+1/2,-y+1/2,z'
loop_
_atom_site_label
_atom_site_fract_x
_atom_site_fract_y
_atom_site_fract_z
Li1 0.000 0.000 0.000
Li2 0.001 0.500 0.501
Li3 0.170 0.500 0.014
Li4 0.173 0.000 0.518
Li5 0.250 0.500 0.748
Li6 0.328 0.000 0.979
Li7 0.329 0.500 0.483
Mn1 0.084 0.500 0.252
Mn2 0.250 0.000 0.247
Mn3 0.416 0.000 0.744
Mn4 0.417 0.500 0.244
Co1 0.084 0.000 0.753
O1 0.045 0.000 0.359
O2 0.047 0.500 0.861
O3 0.120 0.500 0.635
O4 0.121 0.000 0.140
O5 0.212 0.000 0.915
O6 0.212 0.500 0.363
O7 0.287 0.000 0.578
O8 0.287 0.500 0.132
O9 0.378 0.500 0.852
O10 0.379 0.000 0.351
O11 0.456 0.000 0.141
O12 0.456 0.500 0.645
```

Results
E (MP2020) = -6.863 eV/atom
Energy of formation = -2.0091 eV per atom
VASP energy = -148.16 eV per formula unit
Total magnetic moment = 14.0 μB/f.u.

This record from the Materials Project database describes a relaxed structure of Li2MnCoO4. The functional is PBE+U.

CIF file:
```
data_Li2MnCoO4
_chemical_formula_sum 'Li8 Mn4 Co4 O16'
_cell_length_a 10.743
_cell_length_b 5.660
_cell_length_c 5.432
_cell_angle_alpha 90.00
_cell_angle_beta 115.12
_cell_angle_gamma 90.00
_symmetry_space_group_name_H-M 'C 1 2/c 1'
_symmetry_Int_Tables_number 15
loop_
_symmetry_equiv_pos_as_xyz
'x,y,z'
'-x,-y,-z'
'-x,y,-z+1/2'
'x,-y,z+1/2'
'x+1/2,y+1/2,z'
'-x+1/2,-y+1/2,-z'
'-x+1/2,y+1/2,-z+1/2'
'x+1/2,-y+1/2,z+1/2'
loop_
_atom_site_label
_atom_site_fract_x
_atom_site_fract_y
_atom_site_fract_z
Li1 0.248 0.125 0.246
Mn1 0.000 0.373 0.250
Co1 0.000 0.125 0.750
O1 0.115 0.119 0.476
O2 0.115 0.372 0.975
```

Results
E (MP2020) = -6.891 eV/atom
Energy of formation = -1.9063 eV per atom
VASP energy = -49.08 eV per formula unit
Total magnetic moment = 2.0 μB/f.u.

This record from the Materials Project database describes a relaxed structure of Li4MnCo2O7. The functional is PBE+U.

CIF file:
```
data_Li4MnCo2O7
_chemical_formula_sum 'Li8 Mn2 Co4 O14'
_cell_length_a 4.990
_cell_length_b 5.092
_cell_length_c 10.594
_cell_angle_alpha 85.38
_cell_angle_beta 76.86
_cell_angle_gamma 72.05
_symmetry_space_group_name_H-M 'P 1'
_symmetry_Int_Tables_number 1
loop_
_symmetry_equiv_pos_as_xyz
'x,y,z'
loop_
_atom_site_label
_atom_site_fract_x
_atom_site_fract_y
_atom_site_fract_z
Li1 0.000 0.000 0.000
Li2 0.060 0.500 0.871
Li3 0.136 0.994 0.731
Li4 0.281 0.996 0.445
Li5 0.431 0.995 0.146
Li6 0.572 0.995 0.864
Li7 0.696 0.004 0.591
Li8 0.864 0.990 0.294
Mn1 0.364 0.487 0.293
Mn2 0.495 0.499 0.008
Co1 0.208 0.501 0.590
Co2 0.630 0.501 0.732
Co3 0.790 0.489 0.442
Co4 0.930 0.493 0.152
O1 0.065 0.712 0.425
O2 0.114 0.266 0.289
O3 0.190 0.709 0.155
O4 0.235 0.279 0.022
O5 0.335 0.735 0.878
O6 0.391 0.266 0.719
O7 0.463 0.730 0.575
O8 0.535 0.262 0.426
O9 0.622 0.705 0.292
O10 0.668 0.277 0.154
O11 0.741 0.718 0.024
O12 0.778 0.268 0.880
O13 0.882 0.731 0.718
O14 0.960 0.264 0.577
```

Results
E (MP2020) = -6.553 eV/atom
Energy of formation = -1.8636 eV per atom
VASP energy = -81.99 eV per formula unit
Total magnetic moment = 5.0 μB/f.u.

This record from the Materials Project database describes a relaxed structure of Li2MnCoO4. The functional is PBE+U.

CIF file:
```
data_Li2MnCoO4
_chemical_formula_sum 'Li8 Mn4 Co4 O16'
_cell_length_a 12.833
_cell_length_b 3.014
_cell_length_c 9.899
_cell_angle_alpha 90.00
_cell_angle_beta 128.92
_cell_angle_gamma 90.00
_symmetry_space_group_name_H-M 'C 1 2/m 1'
_symmetry_Int_Tables_number 12
loop_
_symmetry_equiv_pos_as_xyz
'x,y,z'
'-x,-y,-z'
'-x,y,-z'
'x,-y,z'
'x+1/2,y+1/2,z'
'-x+1/2,-y+1/2,-z'
'-x+1/2,y+1/2,-z'
'x+1/2,-y+1/2,z'
loop_
_atom_site_label
_atom_site_fract_x
_atom_site_fract_y
_atom_site_fract_z
Li1 0.000 0.000 0.000
Li2 0.000 0.500 0.500
Li3 0.248 0.000 0.744
Mn1 0.124 0.500 0.872
Co1 0.128 0.000 0.381
O1 0.053 0.500 0.193
O2 0.066 0.000 0.700
O3 0.187 0.500 0.551
O4 0.193 0.000 0.056
```

Results
E (MP2020) = -6.846 eV/atom
Energy of formation = -1.8608 eV per atom
VASP energy = -48.71 eV per formula unit
Total magnetic moment = 7.2 μB/f.u.

This record from the Materials Project database describes a relaxed structure of Li7Mn2Co3O12. The functional is PBE+U.

CIF file:
```
data_Li7Mn2Co3O12
_chemical_formula_sum 'Li7 Mn2 Co3 O12'
_cell_length_a 5.034
_cell_length_b 8.828
_cell_length_c 5.115
_cell_angle_alpha 90.00
_cell_angle_beta 108.69
_cell_angle_gamma 90.00
_symmetry_space_group_name_H-M 'P 1 2 1'
_symmetry_Int_Tables_number 3
loop_
_symmetry_equiv_pos_as_xyz
'x,y,z'
'-x,y,-z'
loop_
_atom_site_label
_atom_site_fract_x
_atom_site_fract_y
_atom_site_fract_z
Li1 0.000 0.000 0.000
Li2 0.000 0.158 0.500
Li3 0.000 0.318 0.000
Li4 0.000 0.658 0.000
Li5 0.500 0.161 0.000
Li6 0.500 0.488 0.000
Li7 0.500 0.829 0.000
Mn1 0.000 0.829 0.500
Mn2 0.500 0.322 0.500
Co1 0.000 0.479 0.500
Co2 0.500 0.001 0.500
Co3 0.500 0.658 0.500
O1 0.240 0.824 0.272
O2 0.242 0.665 0.719
O3 0.247 0.979 0.723
O4 0.257 0.335 0.727
O5 0.265 0.485 0.271
O6 0.277 0.168 0.266
```

Results
E (MP2020) = -6.590 eV/atom
Energy of formation = -1.9071 eV per atom
VASP energy = -141.66 eV per formula unit
Total magnetic moment = 6.0 μB/f.u.

| no. | mass density (kg/m3) |
| --- | --- |
| 1 | 4062 |
| 2 | 3924 |
| 3 | 4025 |
| 4 | 3885 |
| 5 | 4259 |
| 6 | 4163 |
| 7 | 4276 |
| 8 | 4066 |